! PBE GdMgAg2, optimized geometry; values from VASP
! Total energy ... -90.08 eV/cell
! Calculated density ... 7.469 g cm⁻³
! Calculated formation energy ... -295 meV/atom
&SYSTEM
  ibrav = 0, nat = 16, ntyp = 3
/
ATOMIC_SPECIES
Gd 157.25 Gd.upf
Mg 24.30 Mg.upf
Ag 107.87 Ag.upf
CELL_PARAMETERS angstrom
7.069 0.000 0.000
0.000 7.069 0.000
0.000 0.000 7.069
ATOMIC_POSITIONS angstrom
Gd 0.000 0.000 0.000
Gd 0.000 3.535 3.535
Gd 3.535 0.000 3.535
Gd 3.535 3.535 0.000
Mg 0.000 0.000 3.535
Mg 0.000 3.535 0.000
Mg 3.535 0.000 0.000
Mg 3.535 3.535 3.535
Ag 1.767 1.767 1.767
Ag 1.767 1.767 5.302
Ag 1.767 5.302 1.767
Ag 1.767 5.302 5.302
Ag 5.302 1.767 1.767
Ag 5.302 1.767 5.302
Ag 5.302 5.302 1.767
Ag 5.302 5.302 5.302

***

! PBE GdNb5Ag2O15, optimized geometry; values from VASP
! Total energy ... -394.05 eV/cell
! Calculated density ... 5.635 g cm⁻³
! Calculated formation energy ... -2733 meV/atom
&SYSTEM
  ibrav = 0, nat = 46, ntyp = 4
/
ATOMIC_SPECIES
Gd 157.25 Gd.upf
Nb 92.91 Nb.upf
Ag 107.87 Ag.upf
O 16.00 O.upf
CELL_PARAMETERS angstrom
12.699 0.000 0.000
0.000 12.699 0.000
0.000 0.000 3.938
ATOMIC_POSITIONS angstrom
Gd 0.000 0.000 0.000
Gd 6.349 6.349 0.000
Nb 0.000 6.349 1.969
Nb 0.993 2.687 1.969
Nb 2.687 11.705 1.969
Nb 3.662 5.356 1.969
Nb 5.356 9.037 1.969
Nb 6.349 0.000 1.969
Nb 7.343 3.662 1.969
Nb 9.037 7.343 1.969
Nb 10.011 0.993 1.969
Nb 11.705 10.011 1.969
Ag 2.217 8.567 0.000
Ag 4.132 2.217 0.000
Ag 8.567 10.481 0.000
Ag 10.481 4.132 0.000
O 12.698 4.332 1.969
O 0.000 6.349 0.000
O 0.001 8.367 1.969
O 0.705 11.037 1.969
O 1.045 2.378 0.000
O 1.661 0.705 1.969
O 2.017 6.350 1.969
O 2.378 11.654 0.000
O 2.870 3.480 1.969
O 3.480 9.829 1.969
O 3.971 5.304 0.000
O 4.332 0.001 1.969
O 4.688 7.054 1.969
O 5.304 8.727 0.000
O 5.645 4.688 1.969
O 6.349 0.000 0.000
O 6.349 2.017 1.969
O 6.350 10.682 1.969
O 7.054 8.011 1.969
O 7.395 3.971 0.000
O 8.011 5.645 1.969
O 8.367 12.698 1.969
O 8.727 7.395 0.000
O 9.219 2.870 1.969
O 9.829 9.219 1.969
O 10.321 1.045 0.000
O 10.682 6.349 1.969
O 11.037 11.994 1.969
O 11.654 10.321 0.000
O 11.994 1.661 1.969